1.
Here is a relaxed Ba2Ge crystal from Materials Project. Energies are from PBE.

a = 8.566 Å, b = 5.476 Å, c = 10.246 Å
α = 90.00°, β = 90.00°, γ = 90.00°
Space group Pnma (No. 62)
Inequivalent atoms, fractional coordinates:
Ba 0.019 0.250 0.170 [4 per cell]
Ba 0.146 0.250 0.584 [4 per cell]
Ge 0.249 0.250 0.900 [4 per cell]

Results
Formation energy = -0.49 eV/atom

2.
Here is a relaxed BeGa2O4 crystal from Materials Project. Energies are from PBE.

a = 7.8297 Å, b = 7.8297 Å, c = 9.0201 Å
α = 90.00°, β = 90.00°, γ = 120.00°
Space group P3_2 (No. 145)
Inequivalent atoms, fractional coordinates:
Be 0.0618 0.5604 0.0000 [3 per cell]
Be 0.2739 0.1099 0.8245 [3 per cell]
Ga 0.0754 0.5824 0.3191 [3 per cell]
Ga 0.0799 0.5651 0.6653 [3 per cell]
Ga 0.2472 0.0753 0.1606 [3 per cell]
Ga 0.2611 0.1060 0.5063 [3 per cell]
O 0.0095 0.6585 0.4985 [3 per cell]
O 0.0293 0.0066 0.8283 [3 per cell]
O 0.3055 0.6539 0.9989 [3 per cell]
O 0.3341 0.0246 0.6763 [3 per cell]
O 0.3417 0.0273 0.3356 [3 per cell]
O 0.3460 0.0537 0.9800 [3 per cell]
O 0.3589 0.3520 0.8114 [3 per cell]
O 0.3874 0.3796 0.5094 [3 per cell]

Results
Energy above the lowest structure with this stoichiometry = 0.0 kJ per mole of atoms
Formation energy = -2.51 eV/atom

3.
Here is a relaxed SrN crystal from Materials Project. Energies are from PBE.

a = 7.526 Å, b = 3.814 Å, c = 5.461 Å
α = 90.00°, β = 90.00°, γ = 90.00°
Space group Pnma (No. 62)
Inequivalent atoms, fractional coordinates:
Sr 0.126 0.250 0.242 [4 per cell]
N 0.123 0.250 0.736 [4 per cell]

Results
Formation energy = -0.27 eV/atom
Total magnetic moment = 4.000 μB per cell

4.
Here is a relaxed Li2PdF6 crystal from Materials Project. Energies are from PBE.

a = 4.745 Å, b = 4.745 Å, c = 9.256 Å
α = 90.00°, β = 90.00°, γ = 90.00°
Space group P4_2/mnm (No. 136)
Inequivalent atoms, fractional coordinates:
Li 0.000 0.000 0.164 [4 per cell]
Pd 0.000 0.000 0.500 [2 per cell]
F 0.191 0.191 0.341 [8 per cell]
F 0.209 0.209 0.000 [4 per cell]

Results
Formation energy = -2.36 eV/atom

5.
Here is a relaxed Ca2GaPt2 crystal from Materials Project. Energies are from PBE.

a = 9.884 Å, b = 5.691 Å, c = 7.879 Å
α = 90.00°, β = 102.68°, γ = 90.00°
Space group C2/c (No. 15)
Inequivalent atoms, fractional coordinates:
Ca 0.150 0.135 0.150 [8 per cell]
Ga 0.000 0.374 0.750 [4 per cell]
Pt 0.130 0.366 0.503 [8 per cell]

Results
Formation energy = -0.97 eV/atom

6.
Here is a relaxed BaF2 crystal from Materials Project. Energies are from PBE.

a = 6.800 Å, b = 4.110 Å, c = 8.046 Å
α = 90.00°, β = 90.00°, γ = 90.00°
Space group Pnma (No. 62)
Inequivalent atoms, fractional coordinates:
Ba 0.249 0.250 0.114 [4 per cell]
F 0.028 0.750 0.333 [4 per cell]
F 0.143 0.750 0.929 [4 per cell]

Results
Energy above the lowest structure with this stoichiometry = 3.9 kJ per mole of atoms
Formation energy = -4.12 eV/atom

7.
Here is a relaxed K2SmAuCl6 crystal from Materials Project. Energies are from PBE.

a = 10.847 Å, b = 10.847 Å, c = 10.847 Å
α = 90.00°, β = 90.00°, γ = 90.00°
Space group Fm-3m (No. 225)
Inequivalent atoms, fractional coordinates:
K 0.250 0.250 0.250 [8 per cell]
Sm 0.000 0.000 0.000 [4 per cell]
Au 0.000 0.000 0.500 [4 per cell]
Cl 0.000 0.000 0.248 [24 per cell]

Results
Formation energy = -1.99 eV/atom
Total magnetic moment = 0.002 μB per cell

8.
Here is a relaxed ScFe2 crystal from Materials Project. Energies are from PBE.

a = 6.968 Å, b = 6.968 Å, c = 6.968 Å
α = 90.00°, β = 90.00°, γ = 90.00°
Space group Fd-3m (No. 227, origin choice 2)
Inequivalent atoms, fractional coordinates:
Sc 0.125 0.125 0.125 [8 per cell]
Fe 0.000 0.000 0.500 [16 per cell]

Results
Formation energy = -0.27 eV/atom

9.
Here is a relaxed AgCS2O6F3 crystal from Materials Project. Energies are from PBE.

a = 5.323 Å, b = 26.501 Å, c = 5.669 Å
α = 90.00°, β = 101.63°, γ = 90.00°
Space group P2_1/c (No. 14)
Inequivalent atoms, fractional coordinates:
Ag 0.211 0.190 0.383 [4 per cell]
C 0.255 0.554 0.787 [4 per cell]
S 0.065 0.613 0.695 [4 per cell]
S 0.363 0.697 0.526 [4 per cell]
O 0.043 0.109 0.058 [4 per cell]
O 0.098 0.120 0.632 [4 per cell]
O 0.122 0.724 0.449 [4 per cell]
O 0.287 0.653 0.748 [4 per cell]
O 0.437 0.224 0.807 [4 per cell]
O 0.445 0.666 0.349 [4 per cell]
F 0.087 0.515 0.768 [4 per cell]
F 0.383 0.557 0.016 [4 per cell]
F 0.420 0.546 0.640 [4 per cell]

Results
Formation energy = -1.59 eV/atom
Total magnetic moment = 0.000 μB per cell

10.
Here is a relaxed ScSiIr crystal from Materials Project. Energies are from PBE.

a = 6.461 Å, b = 4.074 Å, c = 7.363 Å
α = 90.00°, β = 90.00°, γ = 90.00°
Space group Pnma (No. 62)
Inequivalent atoms, fractional coordinates:
Sc 0.013 0.250 0.185 [4 per cell]
Si 0.212 0.750 0.378 [4 per cell]
Ir 0.161 0.250 0.559 [4 per cell]

Results
Formation energy = -1.15 eV/atom

11.
Here is a relaxed ScP3O9 crystal from Materials Project. Energies are from PBE.

a = 14.572 Å, b = 14.572 Å, c = 14.572 Å
α = 90.00°, β = 90.00°, γ = 90.00°
Space group I-43d (No. 220)
Inequivalent atoms, fractional coordinates:
Sc 0.104 0.104 0.104 [16 per cell]
P 0.045 0.124 0.333 [48 per cell]
O 0.013 0.399 0.677 [48 per cell]
O 0.028 0.365 0.056 [48 per cell]
O 0.062 0.347 0.343 [48 per cell]

Results
Energy above the lowest structure with this stoichiometry = 0.0 kJ per mole of atoms
Formation energy = -2.97 eV/atom
Total magnetic moment = 0.130 μB per cell

12.
Here is a relaxed Cr4CuNiSe8 crystal from Materials Project. Energies are from PBE.

a = 10.333 Å, b = 10.333 Å, c = 10.333 Å
α = 90.00°, β = 90.00°, γ = 90.00°
Space group F-43m (No. 216)
Inequivalent atoms, fractional coordinates:
Cr 0.124 0.124 0.376 [16 per cell]
Cu 0.000 0.000 0.000 [4 per cell]
Ni 0.250 0.250 0.750 [4 per cell]
Se 0.120 0.120 0.620 [16 per cell]
Se 0.133 0.133 0.133 [16 per cell]

Results
Formation energy = -0.74 eV/atom
Total magnetic moment = 39.833 μB per cell

13.
Here is a relaxed EuGaAu crystal from Materials Project. Energies are from PBE.

a = 10.716 Å, b = 4.691 Å, c = 7.580 Å
α = 90.00°, β = 132.07°, γ = 90.00°
Space group C2/m (No. 12)
Inequivalent atoms, fractional coordinates:
Eu 0.041 0.000 0.296 [4 per cell]
Ga 0.165 0.500 0.112 [4 per cell]
Au 0.177 0.500 0.727 [4 per cell]

Results
Formation energy = -0.69 eV/atom

14.
Here is a relaxed LaPrNi10 crystal from Materials Project. Energies are from PBE.

a = 3.944 Å, b = 4.996 Å, c = 8.626 Å
α = 90.00°, β = 90.00°, γ = 90.00°
Space group Pmmm (No. 47)
Inequivalent atoms, fractional coordinates:
La 0.000 0.000 0.000 [1 per cell]
Pr 0.000 0.500 0.500 [1 per cell]
Ni 0.000 0.000 0.333 [2 per cell]
Ni 0.000 0.500 0.166 [2 per cell]
Ni 0.500 0.000 0.500 [1 per cell]
Ni 0.500 0.251 0.251 [4 per cell]
Ni 0.500 0.500 0.000 [1 per cell]

Results
Formation energy = -0.27 eV/atom